Record 1
V4P9O32, relaxed, DFT PBE with a Hubbard U; mass density = 2.7 g/cm3; total moment = 1.0 μB/f.u.; space-group type = P-42_1c (114); uncorrected energy = -651.3 eV per cell
1.0
13.8617 0.0000 0.0000
0.0000 13.8617 0.0000
0.0000 0.0000 6.3471
V P O
8 18 64
direct
0.1155 0.1969 0.1226 V
0.1969 0.8845 0.8774 V
0.3031 0.3845 0.6226 V
0.3845 0.6969 0.3774 V
0.6155 0.3031 0.3774 V
0.6969 0.6155 0.6226 V
0.8031 0.1155 0.8774 V
0.8845 0.8031 0.1226 V
0.0000 0.0000 0.0000 P
0.0618 0.6943 0.8860 P
0.1058 0.2490 0.6335 P
0.1943 0.5618 0.3860 P
0.2490 0.8942 0.3665 P
0.2510 0.3942 0.1335 P
0.3057 0.0618 0.1140 P
0.3942 0.7490 0.8665 P
0.4382 0.1943 0.6140 P
0.5000 0.5000 0.5000 P
0.5618 0.8057 0.6140 P
0.6058 0.2510 0.8665 P
0.6943 0.9382 0.1140 P
0.7490 0.6058 0.1335 P
0.7510 0.1058 0.3665 P
0.8057 0.4382 0.3860 P
0.8942 0.7510 0.6335 P
0.9382 0.3057 0.8860 P
0.0025 0.7196 0.6714 O
0.0027 0.7512 0.0621 O
0.0636 0.0674 0.1376 O
0.0674 0.9364 0.8624 O
0.0733 0.5909 0.9200 O
0.0909 0.5733 0.4200 O
0.1043 0.1958 0.4221 O
0.1348 0.1828 0.8174 O
0.1556 0.7551 0.8568 O
0.1614 0.3292 0.1224 O
0.1708 0.3386 0.6224 O
0.1828 0.8652 0.1826 O
0.1958 0.8957 0.5779 O
0.2196 0.5025 0.1714 O
0.2449 0.1556 0.1432 O
0.2488 0.0027 0.9379 O
0.2512 0.5027 0.5621 O
0.2551 0.6556 0.3568 O
0.2804 0.0025 0.3286 O
0.3042 0.3957 0.9221 O
0.3172 0.3652 0.3174 O
0.3292 0.8386 0.8776 O
0.3386 0.8292 0.3776 O
0.3444 0.2551 0.6432 O
0.3652 0.6828 0.6826 O
0.3957 0.6958 0.0779 O
0.4091 0.0733 0.0800 O
0.4267 0.0909 0.5800 O
0.4326 0.4364 0.6376 O
0.4364 0.5674 0.3624 O
0.4975 0.2196 0.8286 O
0.4973 0.2512 0.4379 O
0.5027 0.7488 0.4379 O
0.5025 0.7804 0.8286 O
0.5636 0.4326 0.3624 O
0.5674 0.5636 0.6376 O
0.5733 0.9091 0.5800 O
0.5909 0.9267 0.0800 O
0.6043 0.3042 0.0779 O
0.6348 0.3172 0.6826 O
0.6556 0.7449 0.6432 O
0.6614 0.1708 0.3776 O
0.6708 0.1614 0.8776 O
0.6828 0.6348 0.3174 O
0.6958 0.6043 0.9221 O
0.7196 0.9975 0.3286 O
0.7449 0.3444 0.3568 O
0.7488 0.4973 0.5621 O
0.7512 0.9973 0.9379 O
0.7551 0.8444 0.1432 O
0.7804 0.4975 0.1714 O
0.8042 0.1043 0.5779 O
0.8172 0.1348 0.1826 O
0.8292 0.6614 0.6224 O
0.8386 0.6708 0.1224 O
0.8444 0.2449 0.8568 O
0.8652 0.8172 0.8174 O
0.8957 0.8042 0.4221 O
0.9091 0.4267 0.4200 O
0.9267 0.4091 0.9200 O
0.9326 0.0636 0.8624 O
0.9364 0.9326 0.1376 O
0.9973 0.2488 0.0621 O
0.9975 0.2804 0.6714 O

Record 2
VP2O8, relaxed, DFT PBE with a Hubbard U; mass density = 2.7 g/cm3; total moment = 3.0 μB/f.u.; space-group type = P2_1/c (14); uncorrected energy = -304.6 eV per cell
1.0
7.5084 0.0000 0.0000
0.0000 9.9237 0.0000
-2.3572 0.0000 7.9773
V P O
4 8 32
direct
0.2373 0.1003 0.2594 V
0.2373 0.3997 0.7594 V
0.7627 0.6003 0.2406 V
0.7627 0.8997 0.7406 V
0.1293 0.0961 0.8304 P
0.1293 0.4039 0.3304 P
0.4308 0.1295 0.6859 P
0.4308 0.3705 0.1859 P
0.5692 0.6295 0.8141 P
0.5692 0.8705 0.3141 P
0.8707 0.5961 0.6696 P
0.8707 0.9039 0.1696 P
0.0187 0.5010 0.7720 O
0.0187 0.9990 0.2720 O
0.0951 0.2404 0.7563 O
0.0951 0.2596 0.2563 O
0.1542 0.0907 0.0165 O
0.1542 0.4093 0.5165 O
0.1843 0.6970 0.0394 O
0.1843 0.8030 0.5394 O
0.3228 0.0476 0.7994 O
0.3233 0.1120 0.5034 O
0.3233 0.3880 0.0034 O
0.3228 0.4524 0.2994 O
0.3783 0.5606 0.7673 O
0.3783 0.9394 0.2673 O
0.4457 0.2235 0.2461 O
0.4457 0.2765 0.7461 O
0.5543 0.7235 0.2539 O
0.5543 0.7765 0.7539 O
0.6217 0.0606 0.7327 O
0.6217 0.4394 0.2327 O
0.6772 0.5476 0.7006 O
0.6767 0.6120 0.9966 O
0.6767 0.8880 0.4966 O
0.6772 0.9524 0.2006 O
0.8157 0.1970 0.4606 O
0.8157 0.3030 0.9606 O
0.8458 0.5907 0.4835 O
0.8458 0.9093 0.9835 O
0.9049 0.7404 0.7437 O
0.9049 0.7596 0.2437 O
0.9813 0.0010 0.7280 O
0.9813 0.4990 0.2280 O

Record 3
VP2O7, relaxed, DFT PBE with a Hubbard U; mass density = 2.9 g/cm3; space-group type = P2_1/c (14); uncorrected energy = -297.0 eV per cell
1.0
7.2683 0.0000 0.0000
0.0000 8.0825 0.0000
-3.3041 0.0000 8.8506
V P O
4 8 28
direct
0.2265 0.0105 0.2540 V
0.2265 0.4895 0.7540 V
0.7735 0.5105 0.2460 V
0.7735 0.9895 0.7460 V
0.1747 0.7030 0.4494 P
0.1747 0.7970 0.9494 P
0.4301 0.2405 0.5573 P
0.4301 0.2595 0.0573 P
0.5699 0.7405 0.9427 P
0.5699 0.7595 0.4427 P
0.8253 0.2030 0.0506 P
0.8253 0.2970 0.5506 P
0.0303 0.5859 0.3338 O
0.0303 0.9141 0.8338 O
0.1443 0.6168 0.8972 O
0.1443 0.8832 0.3972 O
0.1691 0.6783 0.6073 O
0.1691 0.8217 0.1073 O
0.3063 0.1919 0.3964 O
0.3063 0.3081 0.8964 O
0.3163 0.1422 0.1209 O
0.3163 0.3578 0.6209 O
0.3873 0.6492 0.4485 O
0.3873 0.8508 0.9485 O
0.4827 0.5889 0.8432 O
0.4827 0.9111 0.3432 O
0.5173 0.0889 0.6568 O
0.5173 0.4111 0.1568 O
0.6127 0.1492 0.0515 O
0.6127 0.3508 0.5515 O
0.6837 0.6422 0.3791 O
0.6837 0.8578 0.8791 O
0.6937 0.6919 0.1036 O
0.6937 0.8081 0.6036 O
0.8309 0.1783 0.8927 O
0.8309 0.3217 0.3927 O
0.8557 0.1168 0.6028 O
0.8557 0.3832 0.1028 O
0.9697 0.0859 0.1662 O
0.9697 0.4141 0.6662 O

Record 4
V3P4O15, relaxed, DFT PBE with a Hubbard U; mass density = 2.9 g/cm3; total moment = 3.0 μB/f.u.; space-group type = Pnma (62); uncorrected energy = -664.4 eV per cell
1.0
17.7782 0.0000 0.0000
0.0000 12.4007 0.0000
0.0000 0.0000 5.3322
V P O
12 16 60
direct
0.1245 0.0203 0.2454 V
0.1245 0.4797 0.2454 V
0.1716 0.2500 0.4879 V
0.3284 0.7500 0.9879 V
0.3755 0.5203 0.7454 V
0.3755 0.9797 0.7454 V
0.6245 0.0203 0.2546 V
0.6245 0.4797 0.2546 V
0.6716 0.2500 0.0121 V
0.8284 0.7500 0.5121 V
0.8755 0.5203 0.7546 V
0.8755 0.9797 0.7546 V
0.0365 0.1324 0.7615 P
0.0365 0.3676 0.7615 P
0.1947 0.6264 0.7396 P
0.1947 0.8736 0.7396 P
0.3053 0.1264 0.2396 P
0.3053 0.3736 0.2396 P
0.4635 0.6324 0.2615 P
0.4635 0.8676 0.2615 P
0.5365 0.1324 0.7385 P
0.5365 0.3676 0.7385 P
0.6947 0.6264 0.7604 P
0.6947 0.8736 0.7604 P
0.8053 0.1264 0.2604 P
0.8053 0.3736 0.2604 P
0.9635 0.6324 0.2385 P
0.9635 0.8676 0.2385 P
0.0019 0.7500 0.2467 O
0.0255 0.5530 0.2797 O
0.0255 0.9470 0.2797 O
0.0800 0.1252 0.0059 O
0.0800 0.3748 0.0059 O
0.0930 0.1326 0.5332 O
0.0930 0.3674 0.5332 O
0.1583 0.5752 0.9647 O
0.1583 0.9248 0.9647 O
0.1666 0.7500 0.7308 O
0.1747 0.5739 0.4934 O
0.1747 0.9261 0.4934 O
0.2173 0.1332 0.2692 O
0.2173 0.3668 0.2692 O
0.2215 0.2500 0.7390 O
0.2785 0.7500 0.2390 O
0.2827 0.6332 0.7692 O
0.2827 0.8668 0.7692 O
0.3253 0.0739 0.9934 O
0.3253 0.4261 0.9934 O
0.3334 0.2500 0.2308 O
0.3417 0.0752 0.4647 O
0.3417 0.4248 0.4647 O
0.4070 0.6326 0.0332 O
0.4070 0.8674 0.0332 O
0.4200 0.6252 0.5059 O
0.4200 0.8748 0.5059 O
0.4745 0.0530 0.7797 O
0.4745 0.4470 0.7797 O
0.4981 0.2500 0.7467 O
0.5019 0.7500 0.2533 O
0.5255 0.5530 0.2203 O
0.5255 0.9470 0.2203 O
0.5800 0.1252 0.4941 O
0.5800 0.3748 0.4941 O
0.5930 0.1326 0.9668 O
0.5930 0.3674 0.9668 O
0.6583 0.5752 0.5353 O
0.6583 0.9248 0.5353 O
0.6666 0.7500 0.7692 O
0.6747 0.5739 0.0066 O
0.6747 0.9261 0.0066 O
0.7173 0.1332 0.2308 O
0.7173 0.3668 0.2308 O
0.7215 0.2500 0.7610 O
0.7785 0.7500 0.2610 O
0.7827 0.6332 0.7308 O
0.7827 0.8668 0.7308 O
0.8253 0.0739 0.5066 O
0.8253 0.4261 0.5066 O
0.8334 0.2500 0.2692 O
0.8417 0.0752 0.0353 O
0.8417 0.4248 0.0353 O
0.9070 0.6326 0.4668 O
0.9070 0.8674 0.4668 O
0.9200 0.6252 0.9941 O
0.9200 0.8748 0.9941 O
0.9745 0.0530 0.7203 O
0.9745 0.4470 0.7203 O
0.9981 0.2500 0.7533 O

Record 5
VP2O7, relaxed, DFT PBE with a Hubbard U; mass density = 2.8 g/cm3; total moment = 1.0 μB/f.u.; space-group type = C2/c (15); uncorrected energy = -147.8 eV per cell
1.0
7.7879 -2.1637 0.0000
7.7879 2.1637 0.0000
-6.0153 0.0000 7.8409
V P O
2 4 14
direct
0.2348 0.7652 0.7500 V
0.7652 0.2348 0.2500 V
0.1668 0.1754 0.1562 P
0.1754 0.1668 0.6562 P
0.8246 0.8332 0.3438 P
0.8332 0.8246 0.8438 P
0.0043 0.5144 0.1936 O
0.0094 0.7299 0.5111 O
0.0557 0.7586 0.8229 O
0.2414 0.9443 0.6771 O
0.2701 0.9906 0.9889 O
0.3881 0.6119 0.2500 O
0.4856 0.9957 0.3064 O
0.5144 0.0043 0.6936 O
0.6119 0.3881 0.7500 O
0.7299 0.0094 0.0111 O
0.7586 0.0557 0.3229 O
0.9443 0.2414 0.1771 O
0.9906 0.2701 0.4889 O
0.9957 0.4856 0.8064 O

Record 6
VP5O15, relaxed, DFT PBE with a Hubbard U; mass density = 2.4 g/cm3; total moment = 1.6 μB/f.u.; space-group type = P2_1/m (11); uncorrected energy = -298.1 eV per cell
1.0
5.1854 0.0000 0.0000
0.0000 13.7977 0.0000
-1.6742 0.0000 8.6712
V P O
2 10 30
direct
0.0000 0.0000 0.0000 V
0.0000 0.5000 0.0000 V
0.0424 0.2500 0.5124 P
0.1521 0.5794 0.6808 P
0.1521 0.9206 0.6808 P
0.4879 0.6412 0.9776 P
0.4879 0.8588 0.9776 P
0.5121 0.1412 0.0224 P
0.5121 0.3588 0.0224 P
0.8479 0.0794 0.3192 P
0.8479 0.4206 0.3192 P
0.9576 0.7500 0.4876 P
0.0030 0.5286 0.7986 O
0.0030 0.9714 0.7986 O
0.0468 0.1619 0.3869 O
0.0468 0.3381 0.3869 O
0.2031 0.7500 0.4224 O
0.2238 0.1156 0.9875 O
0.2238 0.3844 0.9875 O
0.2730 0.5179 0.5797 O
0.2730 0.9821 0.5797 O
0.2959 0.2500 0.6257 O
0.3122 0.5794 0.0583 O
0.3122 0.9206 0.0583 O
0.3798 0.6426 0.7984 O
0.3798 0.8574 0.7984 O
0.4571 0.7500 0.0312 O
0.5429 0.2500 0.9688 O
0.6202 0.1426 0.2016 O
0.6202 0.3574 0.2016 O
0.6878 0.0794 0.9417 O
0.6878 0.4206 0.9417 O
0.7041 0.7500 0.3743 O
0.7270 0.0179 0.4203 O
0.7270 0.4821 0.4203 O
0.7762 0.6156 0.0125 O
0.7762 0.8844 0.0125 O
0.7969 0.2500 0.5776 O
0.9532 0.6619 0.6131 O
0.9532 0.8381 0.6131 O
0.9970 0.0286 0.2014 O
0.9970 0.4714 0.2014 O

Record 7
VP2O7, relaxed, DFT PBE with a Hubbard U; mass density = 2.8 g/cm3; total moment = 1.0 μB/f.u.; space-group type = P2_1/c (14); uncorrected energy = -291.8 eV per cell
1.0
6.9545 0.0000 0.0000
0.0000 8.5870 0.0000
-2.8564 0.0000 8.9219
V P O
4 8 28
direct
0.2043 0.0777 0.3059 V
0.2043 0.4223 0.8059 V
0.7957 0.5777 0.1941 V
0.7957 0.9223 0.6941 V
0.0240 0.7139 0.9638 P
0.0240 0.7861 0.4638 P
0.4047 0.7443 0.2462 P
0.4047 0.7557 0.7462 P
0.5953 0.2443 0.2538 P
0.5953 0.2557 0.7538 P
0.9760 0.2139 0.5362 P
0.9760 0.2861 0.0362 P
0.0195 0.1271 0.1203 O
0.0195 0.3729 0.6203 O
0.0222 0.5829 0.8548 O
0.0222 0.9171 0.3548 O
0.1352 0.1969 0.4515 O
0.1352 0.3031 0.9515 O
0.2387 0.7229 0.0809 O
0.2387 0.7771 0.5809 O
0.3721 0.5780 0.7831 O
0.3721 0.9220 0.2831 O
0.3739 0.6334 0.3561 O
0.3739 0.8666 0.8561 O
0.3940 0.2363 0.2905 O
0.3940 0.2637 0.7905 O
0.6060 0.7363 0.2095 O
0.6060 0.7637 0.7095 O
0.6261 0.1334 0.1439 O
0.6261 0.3666 0.6439 O
0.6279 0.0780 0.7169 O
0.6279 0.4220 0.2169 O
0.7613 0.2229 0.4191 O
0.7613 0.2771 0.9191 O
0.8648 0.6969 0.0485 O
0.8648 0.8031 0.5485 O
0.9778 0.0829 0.6452 O
0.9778 0.4171 0.1452 O
0.9805 0.6271 0.3797 O
0.9805 0.8729 0.8797 O

Record 8
VP2O7, relaxed, DFT PBE with a Hubbard U; mass density = 3.0 g/cm3; total moment = 1.0 μB/f.u.; space-group type = P2_1/c (14); uncorrected energy = -296.1 eV per cell
1.0
6.8571 0.0000 0.0000
0.0000 8.1212 0.0000
-2.8123 0.0000 8.9476
V P O
4 8 28
direct
0.2200 0.2300 0.0050 V
0.2200 0.2700 0.5050 V
0.7800 0.7300 0.4950 V
0.7800 0.7700 0.9950 V
0.0306 0.5846 0.2943 P
0.0306 0.9154 0.7943 P
0.4305 0.0304 0.7932 P
0.4305 0.4696 0.2932 P
0.5695 0.5304 0.7068 P
0.5695 0.9696 0.2068 P
0.9694 0.0846 0.2057 P
0.9694 0.4154 0.7057 P
0.0219 0.2241 0.1104 O
0.0219 0.2759 0.6104 O
0.0250 0.0837 0.8628 O
0.0250 0.4163 0.3628 O
0.1036 0.0948 0.3692 O
0.1036 0.4052 0.8692 O
0.2640 0.6121 0.2941 O
0.2640 0.8879 0.7941 O
0.3639 0.0533 0.1552 O
0.3639 0.4467 0.6552 O
0.3820 0.1015 0.6361 O
0.3820 0.3985 0.1361 O
0.4064 0.1674 0.9038 O
0.4064 0.3326 0.4038 O
0.5936 0.6674 0.5962 O
0.5936 0.8326 0.0962 O
0.6180 0.6015 0.8639 O
0.6180 0.8985 0.3639 O
0.6361 0.5533 0.3448 O
0.6361 0.9467 0.8448 O
0.7360 0.1121 0.2059 O
0.7360 0.3879 0.7059 O
0.8964 0.5948 0.1308 O
0.8964 0.9052 0.6308 O
0.9750 0.5837 0.6372 O
0.9750 0.9163 0.1372 O
0.9781 0.7241 0.3896 O
0.9781 0.7759 0.8896 O

Look up the uncorrected energy of the second one.
-304.6 eV per cell